LiEuTcO3 | PBE-GGA | optimized geometry

Calculated values
Its excess energy over the best structure of this formula in the dataset is 215.6 meV per atom. As for the symmetry: P4/mmm (123).

Structure (POSCAR):
```
LiEuTcO3
1.0
3.843 0.000 0.000
0.000 3.843 0.000
0.000 0.000 5.670
Li Eu Tc O
1 1 1 3
Cartesian
0.000 0.000 2.835
0.000 0.000 0.000
1.921 1.921 2.835
1.921 1.921 0.000
1.921 0.000 2.835
0.000 1.921 2.835
```